MnSbS2Cl: optimized geometry, GGA-PBE.

a = 3.822 Å, b = 9.572 Å, c = 12.367 Å
α = 90.00°, β = 90.00°, γ = 90.00°
Fractional positions:
Cl 0.250 0.064 0.386
S 0.750 0.551 0.618
Mn 0.250 0.996 0.736
S 0.750 0.746 0.324
Cl 0.750 0.936 0.614
Sb 0.250 0.689 0.463
Cl 0.250 0.564 0.114
S 0.750 0.051 0.882
S 0.250 0.949 0.118
S 0.250 0.254 0.676
Mn 0.750 0.004 0.264
Cl 0.750 0.436 0.886
S 0.250 0.449 0.382
Mn 0.750 0.504 0.236
Sb 0.250 0.189 0.037
Sb 0.750 0.811 0.963
S 0.750 0.246 0.176
S 0.250 0.754 0.824
Mn 0.250 0.496 0.764
Sb 0.750 0.311 0.537

Calculated values
E_tot in eV per atom: -5.25
E_form in eV per atom: -0.89
Space-group type: Pnma, No. 62

***

MnTlCl3: optimized geometry, GGA-PBE.

a = 5.069 Å, b = 5.069 Å, c = 5.069 Å
α = 90.00°, β = 90.00°, γ = 90.00°
Fractional positions:
Mn 0.500 0.500 0.500
Cl 0.000 0.500 0.500
Cl 0.500 0.500 0.000
Cl 0.500 0.000 0.500
Tl 0.000 0.000 0.000

Calculated values
E_tot in eV per atom: -4.46
E_form in eV per atom: -1.41
Space-group type: Pm-3m, No. 221

***

MnTlCl3: optimized geometry, GGA-PBE.

a = 3.866 Å, b = 9.185 Å, c = 14.809 Å
α = 90.00°, β = 90.00°, γ = 90.00°
Fractional positions:
Cl 0.750 0.225 0.297
Cl 0.250 0.682 0.995
Mn 0.250 0.162 0.946
Cl 0.250 0.517 0.403
Mn 0.750 0.338 0.446
Cl 0.750 0.983 0.903
Cl 0.250 0.775 0.703
Cl 0.750 0.818 0.495
Tl 0.750 0.559 0.823
Mn 0.750 0.838 0.054
Tl 0.750 0.059 0.677
Cl 0.750 0.483 0.597
Cl 0.250 0.182 0.505
Tl 0.250 0.441 0.177
Cl 0.750 0.318 0.005
Cl 0.250 0.275 0.797
Tl 0.250 0.941 0.323
Cl 0.250 0.017 0.097
Mn 0.250 0.662 0.554
Cl 0.750 0.725 0.203

Calculated values
E_tot in eV per atom: -4.49
E_form in eV per atom: -1.44
Space-group type: Pnma, No. 62

***

MnTlCl3: optimized geometry, GGA-PBE.

a = 7.125 Å, b = 7.142 Å, c = 10.168 Å
α = 90.00°, β = 90.00°, γ = 90.00°
Fractional positions:
Cl 0.502 0.962 0.250
Mn 0.000 0.500 0.500
Mn 0.500 0.000 0.000
Cl 0.280 0.719 0.981
Cl 0.720 0.281 0.481
Cl 0.220 0.219 0.481
Cl 0.220 0.219 0.019
Tl 0.986 0.000 0.250
Cl 0.998 0.462 0.750
Cl 0.780 0.781 0.981
Cl 0.780 0.781 0.519
Cl 0.720 0.281 0.019
Tl 0.486 0.500 0.250
Cl 0.498 0.038 0.750
Tl 0.514 0.500 0.750
Cl 0.280 0.719 0.519
Tl 0.014 0.000 0.750
Cl 0.002 0.538 0.250
Mn 0.000 0.500 0.000
Mn 0.500 0.000 0.500

Calculated values
E_tot in eV per atom: -4.46
E_form in eV per atom: -1.42
Space-group type: Pnma, No. 62

***

MoCl4: optimized geometry, GGA-PBE.

a = 11.145 Å, b = 6.397 Å, c = 13.528 Å
α = 62.23°, β = 90.00°, γ = 90.00°
Fractional positions:
Cl 0.758 0.568 0.859
Cl 0.899 0.067 0.865
Cl 0.242 0.568 0.359
Cl 0.431 0.398 0.646
Cl 0.730 0.969 0.132
Cl 0.569 0.602 0.354
Cl 0.414 0.980 0.134
Mo 0.596 0.000 0.250
Cl 0.942 0.525 0.368
Mo 0.404 0.000 0.750
Mo 0.254 0.000 0.250
Cl 0.101 0.067 0.365
Cl 0.586 0.020 0.866
Cl 0.058 0.475 0.632
Cl 0.242 0.432 0.141
Mo 0.746 0.000 0.750
Cl 0.586 0.980 0.634
Cl 0.758 0.432 0.641
Cl 0.414 0.020 0.366
Cl 0.569 0.398 0.146
Mo 0.922 0.500 0.750
Cl 0.899 0.933 0.635
Cl 0.270 0.969 0.632
Cl 0.431 0.602 0.854
Cl 0.942 0.475 0.132
Cl 0.730 0.031 0.368
Cl 0.270 0.031 0.868
Mo 0.078 0.500 0.250
Cl 0.101 0.933 0.135
Cl 0.058 0.525 0.868

Calculated values
E_tot in eV per atom: -4.46
E_form in eV per atom: -1.30
Space-group type: P2/c, No. 13

***

MoCl4: optimized geometry, GGA-PBE.

a = 5.765 Å, b = 5.765 Å, c = 12.235 Å
α = 90.00°, β = 90.00°, γ = 120.00°
Fractional positions:
Cl 0.321 0.321 0.613
Cl 0.000 0.679 0.613
Cl 0.000 0.321 0.387
Cl 0.679 0.679 0.387
Cl 0.325 0.000 0.879
Cl 0.321 0.000 0.387
Cl 0.000 0.325 0.879
Cl 0.325 0.325 0.121
Mo 0.333 0.667 0.000
Cl 0.675 0.675 0.879
Cl 0.679 0.000 0.613
Mo 0.000 0.000 0.500
Cl 0.675 0.000 0.121
Cl 0.000 0.675 0.121
Mo 0.667 0.333 0.000

Calculated values
E_tot in eV per atom: -4.38
E_form in eV per atom: -1.22
Space-group type: P-31m, No. 162

***

Which of these has the lowest E_tot?
MnSbS2Cl